Cs2AgF4: optimized geometry, PBE.

MP2020-corrected energy (eV/atom): -4.097
Energy relative to the elements (kcal/mol of atoms): -54.021
VASP energy (eV/f.u.): -26.83
Symmetry: Cmce (64)
Distance to the lowest polymorph of the same formula (eV/atom): 0.000

Cell: 7.9657 7.9657 6.5809 Å, 90.00 90.00 131.24°
Positions (direct):
Cs (0.6430, 0.3570, 0.0000)
Cs (0.8570, 0.1430, 0.5000)
Cs (0.3570, 0.6430, 0.0000)
Cs (0.1430, 0.8570, 0.5000)
Ag (0.0000, 0.0000, 0.0000)
Ag (0.5000, 0.5000, 0.5000)
F (0.8497, 0.1503, 0.0000)
F (0.6503, 0.3497, 0.5000)
F (0.1503, 0.8497, 0.0000)
F (0.3497, 0.6503, 0.5000)
F (0.2368, 0.2368, 0.2266)
F (0.7368, 0.7368, 0.2734)
F (0.2632, 0.2632, 0.7266)
F (0.7632, 0.7632, 0.7734)